Record 1
VASP calculation (meta-GGA r2SCAN) on a relaxed structure of AgSnSe2.

```
4
Lattice="6.6139 -2.0232 -0.0171 6.6139 2.0232 -0.0171 6.0039 0.0000 3.4336" Properties=species:S:1:pos:R:3 pbc="T T T"
Se 4.8518 0.0000 0.8576
Se 14.3799 0.0000 2.5417
Ag 0.0000 0.0000 0.0000
Sn 9.6158 0.0000 1.6997
```

Electronic total energy   -76.1 eV for the cell shown
Magnetization   0.0000 μB per atom
Theoretical density   6.9 g/cm3

=====

Record 2
VASP calculation (meta-GGA r2SCAN) on a relaxed structure of TlAgSe.

```
12
Lattice="4.6630 0.0000 0.0000 0.0000 8.4330 0.0000 0.0000 0.0000 7.5722" Properties=species:S:1:pos:R:3 pbc="T T T"
Ag 3.4973 2.7468 6.9172
Ag 1.1658 5.6862 0.6550
Ag 1.1658 1.4697 3.1311
Ag 3.4973 6.9633 4.4411
Tl 1.1658 8.3923 6.2006
Tl 1.1658 4.1758 5.1577
Tl 3.4973 4.2572 2.4145
Tl 3.4973 0.0407 1.3716
Se 3.4973 5.7432 6.8133
Se 3.4973 1.5267 4.5450
Se 1.1658 6.9063 3.0272
Se 1.1658 2.6898 0.7589
```

Electronic total energy   -359.1 eV for the cell shown
Magnetization   0.0000 μB per atom
Theoretical density   8.7 g/cm3

=====

Record 3
VASP calculation (meta-GGA r2SCAN) on a relaxed structure of YbAgSe2.

```
16
Lattice="4.1588 0.0000 0.0000 0.0000 6.8047 0.0000 0.0000 0.0000 13.5650" Properties=species:S:1:pos:R:3 pbc="T T T"
Yb 3.0283 1.4276 11.8175
Yb 3.2099 5.3771 5.0350
Yb 0.9489 1.9747 1.7475
Yb 1.1305 4.8300 8.5300
Se 3.0424 3.2887 0.3751
Se 1.1348 3.9839 3.7188
Se 0.9630 0.1136 13.1899
Se 3.2142 6.2231 9.8462
Se 0.9446 2.8208 10.5012
Se 3.1958 3.5160 7.1575
Se 1.1164 6.6911 6.4074
Se 3.0240 0.5816 3.0637
Ag 0.0218 5.3833 1.6717
Ag 4.1370 1.9809 5.1108
Ag 2.1011 4.8238 11.8933
Ag 2.0576 1.4214 8.4542
```

Electronic total energy   -368.4 eV for the cell shown
Magnetization   0.0000 μB per atom
Theoretical density   7.6 g/cm3

=====

Record 4
VASP calculation (meta-GGA r2SCAN) on a relaxed structure of SmSi2Ag2.

```
5
Lattice="-1.5225 3.8154 0.8245 -2.6529 -0.3622 -3.2227 -1.5674 -3.8878 4.4508" Properties=species:S:1:pos:R:3 pbc="T T T"
Ag -2.5888 0.8271 2.0381
Ag -3.1540 -1.2617 0.0145
Si -2.8688 -1.6963 2.5522
Si -2.8739 1.2617 -0.4996
Sm 0.0000 0.0000 0.0000
```

Electronic total energy   -92.3 eV for the cell shown
Magnetization   0.0000 μB per atom
Theoretical density   7.5 g/cm3

=====

Record 5
VASP calculation (meta-GGA r2SCAN) on a relaxed structure of SmSiAg.

```
9
Lattice="-4.8302 -4.6352 -2.4863 6.9210 -1.7580 0.0877 -0.4617 -1.6219 3.9207" Properties=species:S:1:pos:R:3 pbc="T T T"
Si -0.2308 -0.8110 1.9603
Si -0.9131 -3.6762 -1.6283
Si 3.0039 -2.7171 -0.7703
Sm -3.0447 -3.5114 0.5119
Sm 0.6419 -3.4797 0.9591
Sm 3.8011 -1.8352 2.0114
Ag 1.5729 -4.8095 -1.8044
Ag -1.1965 -1.1483 -0.6159
Ag 1.7145 -0.4356 0.0217
```

Electronic total energy   -185.1 eV for the cell shown
Magnetization   0.0000 μB per atom
Theoretical density   7.6 g/cm3

=====

Record 6
VASP calculation (meta-GGA r2SCAN) on a relaxed structure of TbSi2Ag2.

```
5
Lattice="-2.2844 -1.5198 3.1023 -0.0003 -3.7191 -1.8223 5.6124 1.3185 2.0143" Properties=species:S:1:pos:R:3 pbc="T T T"
Si -0.1905 -2.8965 1.2052
Si 3.5182 -1.0239 2.0891
Tb 0.0000 0.0000 0.0000
Ag 2.2349 -2.5100 0.4160
Ag 1.0929 -1.4104 2.8782
```

Electronic total energy   -93.7 eV for the cell shown
Magnetization   0.0000 μB per atom
Theoretical density   7.8 g/cm3

=====

Record 7
VASP calculation (meta-GGA r2SCAN) on a relaxed structure of TmSiAg.

```
9
Lattice="-2.2201 1.9147 6.2901 -4.1639 -3.6438 -4.1887 1.4808 -3.5272 1.5963" Properties=species:S:1:pos:R:3 pbc="T T T"
Ag -1.0430 -0.9127 -1.0492
Ag -4.7849 -1.2959 1.5750
Ag -0.5561 0.4796 1.5756
Si -2.8680 0.0619 2.7972
Si -3.5160 -1.7909 -0.6958
Si 0.7404 -1.7636 0.7982
Tm -1.9366 -2.4886 1.6793
Tm -0.5488 -0.6518 4.4507
Tm -1.6775 -3.8795 -1.6341
```

Electronic total energy   -201.5 eV for the cell shown
Magnetization   0.0000 μB per atom
Theoretical density   8.8 g/cm3

=====

Record 8
VASP calculation (meta-GGA r2SCAN) on a relaxed structure of YbSiAg.

```
9
Lattice="-6.4309 2.5576 0.1284 2.5199 -3.3088 5.5332 1.4502 3.5724 1.4758" Properties=species:S:1:pos:R:3 pbc="T T T"
Ag 0.6335 -0.8318 1.3910
Ag -1.6167 0.6429 0.0323
Ag -2.9279 -0.5624 4.2383
Yb 2.1885 -0.1354 3.9513
Yb -3.0096 3.2715 0.8125
Yb -0.9146 1.4712 3.1116
Si -0.4637 -1.3534 3.7316
Si -3.4473 0.6021 1.9300
Si 0.7251 1.7862 0.7379
```

Electronic total energy   -205.7 eV for the cell shown
Magnetization   0.0000 μB per atom
Theoretical density   9.0 g/cm3

=====

Record 9
VASP calculation (meta-GGA r2SCAN) on a relaxed structure of YbSi2Ag2.

```
5
Lattice="4.0829 0.0000 0.0000 0.0000 4.0829 0.0000 -2.0415 -2.0415 5.3843" Properties=species:S:1:pos:R:3 pbc="T T T"
Ag 2.0415 0.0000 2.6921
Ag 0.0000 2.0415 2.6921
Yb 0.0000 0.0000 0.0000
Si 0.0000 0.0000 4.2537
Si 2.0415 2.0415 1.1305
```

Electronic total energy   -98.6 eV for the cell shown
Magnetization   0.0000 μB per atom
Theoretical density   8.2 g/cm3

=====

Record 10
VASP calculation (meta-GGA r2SCAN) on a relaxed structure of SmAg.

```
2
Lattice="3.6857 0.0000 0.0000 0.0000 3.6857 0.0000 0.0000 0.0000 3.6857" Properties=species:S:1:pos:R:3 pbc="T T T"
Sm 1.8429 1.8429 1.8429
Ag 0.0000 0.0000 0.0000
```

Electronic total energy   -51.7 eV for the cell shown
Magnetization   0.0000 μB per atom
Theoretical density   8.6 g/cm3

=====

Record 11
VASP calculation (meta-GGA r2SCAN) on a relaxed structure of Sm14Ag51.

```
65
Lattice="-2.2664 -8.0113 -4.3870 5.4095 4.3335 -10.7084 6.9394 -6.5841 8.4384" Properties=species:S:1:pos:R:3 pbc="T T T"
Ag 6.1697 -7.3163 -3.3431
Ag 1.4217 -4.1553 -3.2402
Ag 6.9382 -4.6000 -1.8556
Ag 9.8222 -4.8608 -1.0622
Ag 1.5346 -5.4144 -8.0105
Ag 8.5114 -4.8632 1.4254
Ag 4.2651 -11.0531 2.6578
Ag 5.2494 -1.6742 -5.6231
Ag 4.9014 3.7156 -9.3174
Ag 2.8359 -5.0673 1.1171
Ag 5.9195 0.6943 -4.3262
Ag 2.7955 -3.1603 -9.1544
Ag 6.4988 -9.8262 1.0702
Ag 5.7787 0.8918 -9.3283
Ag 7.2673 -7.1098 2.5577
Ag 4.5708 -3.3778 -11.6664
Ag 3.1089 0.1504 -4.9632
Ag 7.9752 -2.4605 -6.3333
Ag 6.5556 -1.8703 -3.0538
Ag 6.4294 -2.9449 2.0562
Ag 1.4285 -1.2242 -3.2168
Ag 3.6031 -8.4181 -3.6181
Ag 2.0674 -7.7836 -0.3704
Ag 3.2077 -5.6574 -4.8073
Ag 7.2146 -5.1491 -7.8056
Ag 8.6480 -9.0114 -3.3351
Ag 3.7101 -0.8470 -10.4638
Ag 2.9843 -10.3622 0.2519
Ag 5.4814 -5.4316 -10.0182
Ag 5.7607 -5.3089 0.7616
Ag 0.8244 -5.3129 -0.8177
Ag 2.3884 -2.8624 -0.8712
Ag 6.3694 -9.4328 3.8412
Ag 4.3231 -4.9484 -7.4161
Ag 4.5640 -4.7783 3.3096
Ag 11.3280 -1.4463 -3.2113
Ag 1.5291 -0.1863 -0.4498
Ag 8.9634 -3.1971 -3.5066
Ag 4.8318 -8.5922 -1.0363
Ag 3.5561 -0.4718 -7.6821
Ag 7.0557 0.1332 -6.9709
Ag 7.7555 -7.4668 -5.8447
Ag 1.2142 -7.0129 -3.1440
Ag 4.9812 -7.4351 -6.1011
Ag 0.2205 -5.4938 -5.5549
Ag 9.2270 -4.9316 -5.8549
Ag 5.4393 -6.9025 4.9306
Ag 8.6948 -6.1059 -3.4355
Ag 5.1828 -2.8342 -0.5603
Ag 3.9684 -2.9688 -3.3350
Ag 6.9316 -10.4472 -1.6324
Sm 8.4455 -2.1390 -0.4571
Sm 4.1312 -0.1366 -1.8848
Sm 3.2431 -2.0097 1.9946
Sm 4.2923 -7.8004 1.9334
Sm 3.9284 -5.6884 -1.7355
Sm 4.6783 2.3409 -6.6919
Sm 6.1938 -4.5908 -4.9103
Sm 7.6679 -7.3627 -0.6098
Sm 7.5997 -4.6860 4.6311
Sm 6.2477 -9.0290 7.0996
Sm 2.3795 -2.9042 -6.0198
Sm 5.7855 -2.4390 -8.6288
Sm 8.9489 -0.1213 -4.4017
Sm 5.3646 -12.1504 5.3903
```

Electronic total energy   -1521.9 eV for the cell shown
Magnetization   0.0000 μB per atom
Theoretical density   9.5 g/cm3

=====

Record 12
VASP calculation (meta-GGA r2SCAN) on a relaxed structure of SmTlAg2.

```
4
Lattice="0.0000 3.5386 3.5386 3.5386 0.0000 3.5386 3.5386 3.5386 0.0000" Properties=species:S:1:pos:R:3 pbc="T T T"
Ag 0.0000 0.0000 0.0000
Ag 3.5386 3.5386 3.5386
Tl 5.3079 5.3079 5.3079
Sm 1.7693 1.7693 1.7693
```

Electronic total energy   -126.8 eV for the cell shown
Magnetization   0.0000 μB per atom
Theoretical density   10.7 g/cm3

=====

Record 13
VASP calculation (meta-GGA r2SCAN) on a relaxed structure of Sm2TlAg.

```
4
Lattice="0.0000 3.7777 3.7777 3.7777 0.0000 3.7777 3.7777 3.7777 0.0000" Properties=species:S:1:pos:R:3 pbc="T T T"
Sm 3.7777 3.7777 3.7777
Sm 0.0000 0.0000 0.0000
Tl 5.6665 5.6665 5.6665
Ag 1.8888 1.8888 1.8888
```

Electronic total energy   -135.6 eV for the cell shown
Magnetization   0.0636 μB per atom
Theoretical density   9.4 g/cm3

=====

Record 14
VASP calculation (meta-GGA r2SCAN) on a relaxed structure of SmYAg2.

```
4
Lattice="-0.5059 3.5583 3.7228 -0.4278 5.0043 -1.2450 -4.5128 2.4493 0.6420" Properties=species:S:1:pos:R:3 pbc="T T T"
Ag -2.7232 5.5059 1.5598
Ag 0.0000 0.0000 0.0000
Y -4.0849 8.2589 2.3398
Sm -1.3616 2.7530 0.7799
```

Electronic total energy   -94.0 eV for the cell shown
Magnetization   0.0000 μB per atom
Theoretical density   7.7 g/cm3

=====

Record 15
VASP calculation (meta-GGA r2SCAN) on a relaxed structure of SmZn2Ag.

```
4
Lattice="-3.3256 -1.7949 -2.8874 -4.3280 1.9654 -0.1536 -1.3715 2.4329 -3.8494" Properties=species:S:1:pos:R:3 pbc="T T T"
Ag -2.2563 0.6509 -1.7226
Zn -4.5126 1.3017 -3.4452
Zn 0.0000 0.0000 0.0000
Sm -6.7688 1.9526 -5.1678
```

Electronic total energy   -70.1 eV for the cell shown
Magnetization   0.0000 μB per atom
Theoretical density   8.5 g/cm3

=====

Record 16
VASP calculation (meta-GGA r2SCAN) on a relaxed structure of TbAgSn.

```
6
Lattice="4.7079 0.0000 0.0000 -2.3539 4.0771 0.0000 0.0000 0.0000 7.4443" Properties=species:S:1:pos:R:3 pbc="T T T"
Ag 0.0000 2.7181 0.3003
Ag 2.3539 1.3590 4.0224
Sn 2.3539 1.3590 7.0404
Sn 0.0000 2.7181 3.3183
Tb 0.0000 0.0000 5.4039
Tb 0.0000 0.0000 1.6818
```

Electronic total energy   -158.7 eV for the cell shown
Magnetization   0.0000 μB per atom
Theoretical density   9.0 g/cm3

=====

Record 17
VASP calculation (meta-GGA r2SCAN) on a relaxed structure of TmAgSn.

```
9
Lattice="7.3044 0.0000 0.0000 -3.6522 6.3258 0.0000 0.0000 0.0000 4.4440" Properties=species:S:1:pos:R:3 pbc="T T T"
Tm -1.5715 2.7218 0.0000
Tm 2.0808 3.6040 0.0000
Tm 3.1429 0.0000 0.0000
Sn 0.0000 0.0000 0.0000
Sn 0.0000 4.2172 2.2220
Sn 3.6522 2.1086 2.2220
Ag 5.5056 0.0000 2.2220
Ag 0.8994 1.5578 2.2220
Ag -2.7528 4.7680 2.2220
```

Electronic total energy   -249.1 eV for the cell shown
Magnetization   0.0000 μB per atom
Theoretical density   9.6 g/cm3

=====

Record 18
VASP calculation (meta-GGA r2SCAN) on a relaxed structure of TmAgSn.

```
6
Lattice="4.6656 0.0000 0.0000 -2.3328 4.0405 0.0000 0.0000 0.0000 7.3349" Properties=species:S:1:pos:R:3 pbc="T T T"
Ag 2.3328 1.3468 2.2900
Ag 0.0000 2.6937 5.9574
Tm 0.0000 0.0000 3.6096
Tm 0.0000 0.0000 7.2771
Sn 2.3328 1.3468 5.2240
Sn 0.0000 2.6937 1.5566
```

Electronic total energy   -166.2 eV for the cell shown
Magnetization   0.0000 μB per atom
Theoretical density   9.5 g/cm3

=====

Record 19
VASP calculation (meta-GGA r2SCAN) on a relaxed structure of YbAgSn.

```
6
Lattice="-1.4632 0.8191 4.4119 1.1830 -4.3746 -1.3192 7.0316 1.2694 2.0965" Properties=species:S:1:pos:R:3 pbc="T T T"
Ag 3.9672 -1.9816 1.6843
Ag 2.7841 -0.3045 3.5050
Sn -0.0620 -0.8184 2.6564
Sn 6.8133 -1.4677 2.5329
Yb 3.1726 -4.0153 -0.7258
Yb 3.5788 1.7292 5.9151
```

Electronic total energy   -166.9 eV for the cell shown
Magnetization   0.0000 μB per atom
Theoretical density   9.2 g/cm3

=====

Record 20
VASP calculation (meta-GGA r2SCAN) on a relaxed structure of Yb2AgSn.

```
4
Lattice="0.0000 3.6118 3.6118 3.6118 0.0000 3.6118 3.6118 3.6118 0.0000" Properties=species:S:1:pos:R:3 pbc="T T T"
Ag 3.6118 3.6118 3.6118
Sn 0.0000 0.0000 0.0000
Yb 5.4177 5.4177 5.4177
Yb 1.8059 1.8059 1.8059
```

Electronic total energy   -121.2 eV for the cell shown
Magnetization   0.1750 μB per atom
Theoretical density   10.1 g/cm3

=====

Record 21
VASP calculation (meta-GGA r2SCAN) on a relaxed structure of YbAg2Sn.

```
4
Lattice="2.3154 -3.9434 1.7007 -2.5185 -3.5381 2.2232 -0.5991 -4.3163 -2.1943" Properties=species:S:1:pos:R:3 pbc="T T T"
Sn -0.4011 -5.8989 0.8648
Yb 0.0000 0.0000 0.0000
Ag -0.6016 -8.8484 1.2972
Ag -0.2005 -2.9495 0.4324
```

Electronic total energy   -105.3 eV for the cell shown
Magnetization   0.0000 μB per atom
Theoretical density   10.3 g/cm3

=====

Record 22
VASP calculation (meta-GGA r2SCAN) on a relaxed structure of YbAgSn.

```
9
Lattice="-1.3774 1.5731 4.2834 -1.1475 -4.4087 -1.4019 8.7141 -3.5769 4.1157" Properties=species:S:1:pos:R:3 pbc="T T T"
Ag 7.0212 -2.8820 3.3162
Ag 1.6929 -0.6949 0.7996
Ag 3.1329 -4.2032 2.5511
Yb 4.5148 -2.8079 5.1350
Yb 1.5979 -1.6106 3.7573
Yb -1.3007 -0.4208 2.3883
Sn 4.3571 -1.7884 2.0579
Sn 6.0922 -5.4179 3.9488
Sn 0.1736 -2.9885 1.1534
```

Electronic total energy   -252.6 eV for the cell shown
Magnetization   0.0000 μB per atom
Theoretical density   9.8 g/cm3

=====

Record 23
VASP calculation (meta-GGA r2SCAN) on a relaxed structure of Sr3Ag2.

```
15
Lattice="8.0723 -0.0005 2.5996 1.8937 7.8470 2.5996 -0.0006 -0.0005 8.4805" Properties=species:S:1:pos:R:3 pbc="T T T"
Sr 3.0226 6.9672 8.3610
Sr 5.6643 1.3033 9.6851
Sr 4.9827 3.9230 6.8398
Sr 8.4226 5.2003 5.4405
Sr 4.3011 6.5427 3.9946
Sr 6.9428 0.8788 5.3187
Sr 2.9349 2.3107 4.0288
Sr 7.0305 5.5353 9.6509
Sr 1.5427 2.6457 8.2391
Ag 3.9345 4.2346 10.0817
Ag 6.0309 3.6114 3.5980
Ag 1.9144 5.0150 5.7917
Ag 3.8803 0.6842 6.8436
Ag 8.0509 2.8310 7.8879
Ag 6.0851 7.1618 6.8361
```

Electronic total energy   -267.7 eV for the cell shown
Magnetization   0.0000 μB per atom
Theoretical density   4.4 g/cm3